[1]
The following is a PBE calculation of an optimized crystal structure of Nb5Ir7, from the Materials Project database.

Cell lengths 2.854, 13.774, 4.863 Å; angles 90.00, 90.00, 90.00 degrees
Space group Pmm2 (No. 25)
One atom of each set of equivalent atoms:
Nb (0.000, 0.000, 0.000) (multiplicity 1)
Nb (0.000, 0.166, 0.623) (multiplicity 2)
Nb (0.000, 0.340, 0.262) (multiplicity 2)
Ir (0.000, 0.500, 0.931) (multiplicity 1)
Ir (0.500, 0.000, 0.490) (multiplicity 1)
Ir (0.500, 0.170, 0.127) (multiplicity 2)
Ir (0.500, 0.336, 0.775) (multiplicity 2)
Ir (0.500, 0.500, 0.444) (multiplicity 1)

formation enthalpy at 0 K: -0.47 eV per atom
V: 15.93 A^3/atom

***

[2]
The following is a PBE calculation of an optimized crystal structure of TiGa3, from the Materials Project database.

Cell lengths 3.806, 3.806, 8.817 Å; angles 90.00, 90.00, 90.00 degrees
Space group I4/mmm (No. 139)
One atom of each set of equivalent atoms:
Ti (0.000, 0.000, 0.000) (multiplicity 2)
Ga (0.000, 0.000, 0.500) (multiplicity 2)
Ga (0.000, 0.500, 0.250) (multiplicity 4)

formation enthalpy at 0 K: -0.37 eV per atom
V: 15.96 A^3/atom

***

[3]
The following is a PBE calculation of an optimized crystal structure of MoIr, from the Materials Project database.

Cell lengths 4.463, 2.775, 4.862 Å; angles 90.00, 90.00, 90.00 degrees
Space group Pmma (No. 51)
One atom of each set of equivalent atoms:
Mo (0.250, 0.000, 0.171) (multiplicity 2)
Ir (0.250, 0.500, 0.674) (multiplicity 2)

formation enthalpy at 0 K: -0.33 eV per atom
V: 15.05 A^3/atom

***

[4]
The following is a PBE calculation of an optimized crystal structure of Pr2In3Cu, from the Materials Project database.

Cell lengths 4.8314, 4.8314, 7.8355 Å; angles 90.00, 90.00, 120.00 degrees
Space group P3m1 (No. 156)
One atom of each set of equivalent atoms:
Pr (0.0000, 0.0000, 0.0000) (multiplicity 1)
Pr (0.0000, 0.0000, 0.4624) (multiplicity 1)
In (0.3333, 0.6667, 0.2200) (multiplicity 1)
In (0.3333, 0.6667, 0.7861) (multiplicity 1)
In (0.6667, 0.3333, 0.6771) (multiplicity 1)
Cu (0.6667, 0.3333, 0.2744) (multiplicity 1)

formation enthalpy at 0 K: -0.42 eV per atom
polymorph energy (0 for the lowest one): 0.00 eV/f.u.
V: 26.40 A^3/atom

***

[5]
The following is a PBE calculation of an optimized crystal structure of Ge3As4, from the Materials Project database.

Cell lengths 5.513, 5.513, 5.513 Å; angles 90.00, 90.00, 90.00 degrees
Space group P-43m (No. 215)
One atom of each set of equivalent atoms:
Ge (0.000, 0.000, 0.500) (multiplicity 3)
As (0.282, 0.282, 0.718) (multiplicity 4)

formation enthalpy at 0 K: 0.01 eV per atom
largest piezoelectric modulus: 0.48 C/m2
V: 23.94 A^3/atom

***

[6]
The following is a PBE calculation of an optimized crystal structure of LaN, from the Materials Project database.

Cell lengths 4.1329, 4.1329, 5.9601 Å; angles 90.00, 90.00, 120.00 degrees
Space group P6_3mc (No. 186)
One atom of each set of equivalent atoms:
La (0.3333, 0.6667, 0.0000) (multiplicity 2)
N (0.3333, 0.6667, 0.4125) (multiplicity 2)

formation enthalpy at 0 K: -1.50 eV per atom
largest piezoelectric modulus: 1.80 C/m2
V: 22.04 A^3/atom

***

[7]
The following is a PBE calculation of an optimized crystal structure of Tl3PS4, from the Materials Project database.

Cell lengths 9.111, 11.144, 9.237 Å; angles 90.00, 90.00, 90.00 degrees
Space group Pnma (No. 62)
One atom of each set of equivalent atoms:
Tl (0.066, 0.055, 0.197) (multiplicity 8)
Tl (0.100, 0.750, 0.390) (multiplicity 4)
P (0.221, 0.750, 0.973) (multiplicity 4)
S (0.014, 0.750, 0.061) (multiplicity 4)
S (0.165, 0.099, 0.532) (multiplicity 8)
S (0.196, 0.750, 0.748) (multiplicity 4)

formation enthalpy at 0 K: -0.68 eV per atom
V: 29.31 A^3/atom

***

[8]
The following is a PBE calculation of an optimized crystal structure of Na2MgSb2O6, from the Materials Project database.

Cell lengths 5.7507, 5.7507, 15.9330 Å; angles 90.00, 90.00, 120.00 degrees
Space group R-3 (No. 148, hexagonal axes)
One atom of each set of equivalent atoms:
Na (0.0000, 0.0000, 0.1144) (multiplicity 6)
Mg (0.0000, 0.0000, 0.5000) (multiplicity 3)
Sb (0.0000, 0.0000, 0.3186) (multiplicity 6)
O (0.0344, 0.6257, 0.0756) (multiplicity 18)

formation enthalpy at 0 K: -1.96 eV per atom
polymorph energy (0 for the lowest one): 1.05 eV/f.u.
V: 13.83 A^3/atom

***

[9]
The following is a PBE calculation of an optimized crystal structure of Na3LiP2O7, from the Materials Project database.

Cell lengths 5.560, 9.243, 12.421 Å; angles 90.00, 90.00, 90.00 degrees
Space group C222_1 (No. 20)
One atom of each set of equivalent atoms:
Na (0.125, 0.172, 0.119) (multiplicity 8)
Na (0.150, 0.500, 0.000) (multiplicity 4)
Li (0.000, 0.463, 0.750) (multiplicity 4)
P (0.141, 0.169, 0.851) (multiplicity 8)
O (0.000, 0.093, 0.750) (multiplicity 4)
O (0.044, 0.175, 0.557) (multiplicity 8)
O (0.149, 0.436, 0.372) (multiplicity 8)
O (0.225, 0.319, 0.814) (multiplicity 8)

formation enthalpy at 0 K: -2.64 eV per atom
V: 12.28 A^3/atom

***

[10]
The following is a PBE calculation of an optimized crystal structure of MgAu, from the Materials Project database.

Cell lengths 3.305, 3.305, 3.305 Å; angles 90.00, 90.00, 90.00 degrees
Space group Pm-3m (No. 221)
One atom of each set of equivalent atoms:
Mg (0.000, 0.000, 0.000) (multiplicity 1)
Au (0.500, 0.500, 0.500) (multiplicity 1)

formation enthalpy at 0 K: -0.61 eV per atom
V: 18.05 A^3/atom

***

[11]
The following is a PBE calculation of an optimized crystal structure of Li7B18O, from the Materials Project database.

Cell lengths 8.173, 4.118, 8.177 Å; angles 90.00, 119.90, 90.00 degrees
Space group P2/m (No. 10)
One atom of each set of equivalent atoms:
Li (0.000, 0.000, 0.000) (multiplicity 1)
Li (0.093, 0.500, 0.270) (multiplicity 2)
Li (0.257, 0.500, 0.056) (multiplicity 2)
Li (0.331, 0.500, 0.672) (multiplicity 2)
B (0.000, 0.299, 0.500) (multiplicity 2)
B (0.121, 0.000, 0.673) (multiplicity 2)
B (0.123, 0.000, 0.452) (multiplicity 2)
B (0.326, 0.000, 0.877) (multiplicity 2)
B (0.328, 0.000, 0.450) (multiplicity 2)
B (0.450, 0.000, 0.328) (multiplicity 2)
B (0.452, 0.000, 0.124) (multiplicity 2)
B (0.500, 0.298, 0.000) (multiplicity 2)
B (0.500, 0.300, 0.500) (multiplicity 2)
O (0.000, 0.500, 0.000) (multiplicity 1)

formation enthalpy at 0 K: -0.42 eV per atom
polymorph energy (0 for the lowest one): 0.00 eV/f.u.
V: 9.18 A^3/atom

***

[12]
The following is a PBE calculation of an optimized crystal structure of CuPd3, from the Materials Project database.

Cell lengths 3.843, 3.843, 7.896 Å; angles 90.00, 90.00, 90.00 degrees
Space group I4/mmm (No. 139)
One atom of each set of equivalent atoms:
Cu (0.000, 0.000, 0.000) (multiplicity 2)
Pd (0.000, 0.000, 0.500) (multiplicity 2)
Pd (0.000, 0.500, 0.250) (multiplicity 4)

formation enthalpy at 0 K: -0.07 eV per atom
V: 14.58 A^3/atom

***

[13]
The following is a PBE calculation of an optimized crystal structure of Nd3Cu4P4O2, from the Materials Project database.

Cell lengths 3.991, 3.991, 26.542 Å; angles 90.00, 90.00, 90.00 degrees
Space group I4/mmm (No. 139)
One atom of each set of equivalent atoms:
Nd (0.000, 0.000, 0.000) (multiplicity 2)
Nd (0.000, 0.000, 0.295) (multiplicity 4)
Cu (0.000, 0.500, 0.094) (multiplicity 8)
P (0.000, 0.000, 0.141) (multiplicity 4)
P (0.000, 0.000, 0.458) (multiplicity 4)
O (0.000, 0.500, 0.250) (multiplicity 4)

formation enthalpy at 0 K: -1.46 eV per atom
V: 16.26 A^3/atom

***

[14]
The following is a PBE calculation of an optimized crystal structure of K2NaNdCl6, from the Materials Project database.

Cell lengths 10.921, 10.921, 10.921 Å; angles 90.00, 90.00, 90.00 degrees
Space group Fm-3m (No. 225)
One atom of each set of equivalent atoms:
K (0.250, 0.250, 0.250) (multiplicity 8)
Na (0.000, 0.000, 0.000) (multiplicity 4)
Nd (0.000, 0.000, 0.500) (multiplicity 4)
Cl (0.000, 0.000, 0.251) (multiplicity 24)

formation enthalpy at 0 K: -2.40 eV per atom
V: 32.56 A^3/atom

***

[15]
The following is a PBE calculation of an optimized crystal structure of NaCeSe2, from the Materials Project database.

Cell lengths 4.3002, 4.3002, 20.8662 Å; angles 90.00, 90.00, 120.00 degrees
Space group R-3m (No. 166, hexagonal axes)
One atom of each set of equivalent atoms:
Na (0.0000, 0.0000, 0.0000) (multiplicity 3)
Ce (0.0000, 0.0000, 0.5000) (multiplicity 3)
Se (0.0000, 0.0000, 0.2457) (multiplicity 6)

formation enthalpy at 0 K: -1.87 eV per atom
V: 27.85 A^3/atom

***

[16]
The following is a PBE calculation of an optimized crystal structure of Fe2CuS3, from the Materials Project database.

Cell lengths 5.893, 5.951, 10.834 Å; angles 89.35, 89.51, 60.55 degrees
Space group P1 (No. 1)
One atom of each set of equivalent atoms:
Fe (0.000, 0.000, 0.000) (multiplicity 1)
Fe (0.001, 0.000, 0.273) (multiplicity 1)
Fe (0.025, 0.094, 0.769) (multiplicity 1)
Fe (0.258, 0.486, 0.002) (multiplicity 1)
Fe (0.258, 0.488, 0.273) (multiplicity 1)
Fe (0.343, 0.368, 0.770) (multiplicity 1)
Fe (0.739, 0.743, 0.001) (multiplicity 1)
Fe (0.743, 0.741, 0.275) (multiplicity 1)
Cu (0.046, 0.092, 0.507) (multiplicity 1)
Cu (0.360, 0.347, 0.505) (multiplicity 1)
Cu (0.610, 0.790, 0.767) (multiplicity 1)
Cu (0.613, 0.780, 0.515) (multiplicity 1)
S (0.001, 0.742, 0.410) (multiplicity 1)
S (0.002, 0.741, 0.864) (multiplicity 1)
S (0.009, 0.402, 0.645) (multiplicity 1)
S (0.302, 0.743, 0.136) (multiplicity 1)
S (0.328, 0.735, 0.652) (multiplicity 1)
S (0.330, 0.086, 0.932) (multiplicity 1)
S (0.335, 0.074, 0.341) (multiplicity 1)
S (0.667, 0.407, 0.346) (multiplicity 1)
S (0.670, 0.401, 0.927) (multiplicity 1)
S (0.671, 0.092, 0.648) (multiplicity 1)
S (0.702, 0.039, 0.138) (multiplicity 1)
S (0.996, 0.448, 0.139) (multiplicity 1)

formation enthalpy at 0 K: -0.50 eV per atom
polymorph energy (0 for the lowest one): 0.00 eV/f.u.
V: 13.79 A^3/atom

***

[17]
The following is a PBE calculation of an optimized crystal structure of CeFe2P2, from the Materials Project database.

Cell lengths 3.815, 3.815, 10.167 Å; angles 90.00, 90.00, 90.00 degrees
Space group I4/mmm (No. 139)
One atom of each set of equivalent atoms:
Ce (0.000, 0.000, 0.000) (multiplicity 2)
Fe (0.000, 0.500, 0.250) (multiplicity 4)
P (0.000, 0.000, 0.358) (multiplicity 4)

formation enthalpy at 0 K: -1.00 eV per atom
V: 14.80 A^3/atom

***

[18]
The following is a PBE calculation of an optimized crystal structure of CdH2O2, from the Materials Project database.

Cell lengths 3.5871, 3.5871, 4.6945 Å; angles 90.00, 90.00, 120.00 degrees
Space group P-3m1 (No. 164)
One atom of each set of equivalent atoms:
Cd (0.0000, 0.0000, 0.0000) (multiplicity 1)
H (0.3333, 0.6667, 0.5547) (multiplicity 2)
O (0.3333, 0.6667, 0.7631) (multiplicity 2)

formation enthalpy at 0 K: -1.31 eV per atom
polymorph energy (0 for the lowest one): 0.08 eV/f.u.
V: 10.46 A^3/atom

***

[19]
The following is a PBE calculation of an optimized crystal structure of TmAl3, from the Materials Project database.

Cell lengths 6.1689, 6.1689, 4.6405 Å; angles 90.00, 90.00, 120.00 degrees
Space group P6_3/mmc (No. 194)
One atom of each set of equivalent atoms:
Tm (0.3333, 0.6667, 0.2500) (multiplicity 2)
Al (0.1492, 0.2983, 0.7500) (multiplicity 6)

formation enthalpy at 0 K: -0.40 eV per atom
V: 19.12 A^3/atom

***

[20]
The following is a PBE calculation of an optimized crystal structure of TmAl4Ni, from the Materials Project database.

Cell lengths 4.024, 15.240, 6.658 Å; angles 90.00, 90.00, 90.00 degrees
Space group Cmcm (No. 63)
One atom of each set of equivalent atoms:
Tm (0.000, 0.119, 0.250) (multiplicity 4)
Al (0.000, 0.075, 0.750) (multiplicity 4)
Al (0.000, 0.312, 0.053) (multiplicity 8)
Al (0.000, 0.500, 0.000) (multiplicity 4)
Ni (0.000, 0.228, 0.750) (multiplicity 4)

formation enthalpy at 0 K: -0.54 eV per atom
V: 17.02 A^3/atom

***

[21]
The following is a PBE calculation of an optimized crystal structure of YHoIr2, from the Materials Project database.

Cell lengths 6.853, 6.853, 6.853 Å; angles 90.00, 90.00, 90.00 degrees
Space group Fm-3m (No. 225)
One atom of each set of equivalent atoms:
Y (0.000, 0.000, 0.000) (multiplicity 4)
Ho (0.000, 0.000, 0.500) (multiplicity 4)
Ir (0.250, 0.250, 0.250) (multiplicity 8)

formation enthalpy at 0 K: -0.83 eV per atom
V: 20.12 A^3/atom